# 1
MnCu4H14S2O18 | PBE with a Hubbard U | optimized geometry

Calculated values
Symmetry ... C2

Cell and atoms, written as CIF:
```
data_MnCu4H14S2O18
_symmetry_space_group_name_H-M 'P 1'
_symmetry_Int_Tables_number 1
_symmetry_space_group_name_Hall 'P 1'
_cell_length_a 11.571
_cell_length_b 11.571
_cell_length_c 11.364
_cell_angle_alpha 80.22
_cell_angle_beta 80.22
_cell_angle_gamma 30.52
loop_
_atom_site_label
_atom_site_type_symbol
_atom_site_fract_x
_atom_site_fract_y
_atom_site_fract_z
O1 O 0.789 0.807 0.827
O2 O 0.530 0.332 0.474
O3 O 0.966 0.206 0.371
O4 O 0.565 0.071 0.076
O5 O 0.762 0.794 0.324
O6 O 0.794 0.034 0.629
O7 O 0.274 0.777 0.112
O8 O 0.023 0.572 0.534
O9 O 0.072 0.123 0.574
O10 O 0.499 0.689 0.717
O11 O 0.454 0.965 0.945
O12 O 0.280 0.317 0.827
O13 O 0.428 0.977 0.466
O14 O 0.303 0.763 0.359
O15 O 0.849 0.940 0.157
O16 O 0.783 0.206 0.763
O17 O 0.997 0.195 0.059
O18 O 0.564 0.093 0.547
O19 O 0.237 0.697 0.641
O20 O 0.206 0.238 0.676
O21 O 0.929 0.435 0.924
O22 O 0.193 0.211 0.173
O23 O 0.683 0.720 0.173
O24 O 0.509 0.330 0.067
O25 O 0.877 0.928 0.426
O26 O 0.794 0.217 0.237
O27 O 0.805 0.003 0.941
O28 O 0.668 0.470 0.526
O29 O 0.907 0.436 0.453
O30 O 0.223 0.726 0.888
O31 O 0.253 0.307 0.322
O32 O 0.060 0.151 0.843
O33 O 0.693 0.747 0.678
O34 O 0.670 0.491 0.933
O35 O 0.311 0.501 0.283
O36 O 0.035 0.546 0.055
Cu1 Cu 0.471 0.005 0.255
Cu2 Cu 0.744 0.758 0.998
Cu3 Cu 0.970 0.504 0.253
Cu4 Cu 0.228 0.275 0.498
Cu5 Cu 0.725 0.772 0.502
Cu6 Cu 0.242 0.256 0.002
Cu7 Cu 0.995 0.529 0.745
Cu8 Cu 0.496 0.030 0.747
H1 H 0.212 0.909 0.378
H2 H 0.357 0.571 0.586
H3 H 0.627 0.723 0.699
H4 H 0.746 0.191 0.701
H5 H 0.412 0.423 0.351
H6 H 0.277 0.373 0.301
H7 H 0.409 0.425 0.207
H8 H 0.418 0.913 0.964
H9 H 0.828 0.241 0.162
H10 H 0.091 0.788 0.622
H11 H 0.083 0.807 0.928
H12 H 0.809 0.254 0.299
H13 H 0.039 0.638 0.488
H14 H 0.575 0.591 0.793
H15 H 0.087 0.582 0.036
H16 H 0.633 0.682 0.179
H17 H 0.354 0.580 0.932
H18 H 0.759 0.172 0.838
H19 H 0.429 0.643 0.414
H20 H 0.577 0.588 0.649
H21 H 0.142 0.174 0.172
H22 H 0.193 0.917 0.072
H23 H 0.826 0.858 0.828
H24 H 0.802 0.842 0.294
H25 H 0.362 0.961 0.512
H26 H 0.158 0.198 0.706
H27 H 0.318 0.367 0.821
H28 H 0.420 0.646 0.068
S1 S 0.690 0.099 0.519
S2 S 0.681 0.088 0.061
S3 S 0.912 0.319 0.939
S4 S 0.901 0.310 0.481
Mn1 Mn 0.147 0.927 0.734
Mn2 Mn 0.073 0.853 0.266
```

***

# 2
Li2MoP4O13 | PBE with a Hubbard U | optimized geometry

Calculated values
Symmetry ... P-1
Offset from the most stable computed form ... 0.73 eV per formula unit

Cell and atoms, written as CIF:
```
data_Li2MoP4O13
_symmetry_space_group_name_H-M 'P 1'
_symmetry_Int_Tables_number 1
_symmetry_space_group_name_Hall 'P 1'
_cell_length_a 5.199
_cell_length_b 8.093
_cell_length_c 13.850
_cell_angle_alpha 79.96
_cell_angle_beta 81.89
_cell_angle_gamma 80.11
loop_
_atom_site_label
_atom_site_type_symbol
_atom_site_fract_x
_atom_site_fract_y
_atom_site_fract_z
O1 O 0.277 0.694 0.553
O2 O 0.902 0.177 0.944
O3 O 0.594 0.189 0.671
O4 O 0.711 0.969 0.158
O5 O 0.159 0.038 0.166
O6 O 0.962 0.252 0.756
O7 O 0.140 0.642 0.739
O8 O 0.218 0.531 0.380
O9 O 0.848 0.849 0.633
O10 O 0.501 0.601 0.213
O11 O 0.189 0.527 0.917
O12 O 0.841 0.962 0.834
O13 O 0.406 0.811 0.329
O14 O 0.289 0.031 0.842
O15 O 0.499 0.399 0.787
O16 O 0.723 0.306 0.447
O17 O 0.098 0.823 0.056
O18 O 0.465 0.303 0.188
O19 O 0.038 0.748 0.244
O20 O 0.782 0.469 0.620
O21 O 0.535 0.697 0.812
O22 O 0.860 0.358 0.261
O23 O 0.152 0.151 0.367
O24 O 0.282 0.926 0.656
O25 O 0.718 0.074 0.344
O26 O 0.811 0.473 0.083
P1 P 0.659 0.427 0.182
P2 P 0.713 0.332 0.700
P3 P 0.008 0.900 0.147
P4 P 0.341 0.573 0.818
P5 P 0.287 0.668 0.300
P6 P 0.855 0.219 0.363
P7 P 0.145 0.781 0.637
P8 P 0.992 0.100 0.853
Mo1 Mo 0.569 0.943 0.740
Mo2 Mo 0.431 0.057 0.260
Li1 Li 0.057 0.326 0.002
Li2 Li 0.943 0.674 0.998
Li3 Li 0.654 0.640 0.519
Li4 Li 0.346 0.360 0.481
```

***

# 3
LiNi2O4 | PBE with a Hubbard U | optimized geometry

Calculated values
Symmetry ... P2/m
Offset from the most stable computed form ... 0.24 eV per formula unit

Cell and atoms, written as CIF:
```
data_LiNi2O4
_symmetry_space_group_name_H-M 'P 1'
_symmetry_Int_Tables_number 1
_symmetry_space_group_name_Hall 'P 1'
_cell_length_a 2.814
_cell_length_b 4.996
_cell_length_c 5.136
_cell_angle_alpha 71.22
_cell_angle_beta 90.00
_cell_angle_gamma 90.00
loop_
_atom_site_label
_atom_site_type_symbol
_atom_site_fract_x
_atom_site_fract_y
_atom_site_fract_z
Li1 Li 0.500 0.000 0.000
O1 O 0.500 0.793 0.715
O2 O 0.500 0.207 0.285
O3 O 0.000 0.744 0.302
O4 O 0.000 0.256 0.698
Ni1 Ni 0.500 0.500 0.500
Ni2 Ni 0.000 0.000 0.500
```

***

# 4
Li4Ti3V2Cr4O18 | PBE with a Hubbard U | optimized geometry

Calculated values
Symmetry ... Pmc2_1

Cell and atoms, written as CIF:
```
data_Li4Ti3V2Cr4O18
_symmetry_space_group_name_H-M 'P 1'
_symmetry_Int_Tables_number 1
_symmetry_space_group_name_Hall 'P 1'
_cell_length_a 2.976
_cell_length_b 9.004
_cell_length_c 25.114
_cell_angle_alpha 90.00
_cell_angle_beta 90.00
_cell_angle_gamma 90.00
loop_
_atom_site_label
_atom_site_type_symbol
_atom_site_fract_x
_atom_site_fract_y
_atom_site_fract_z
O1 O 0.000 0.705 0.059
O2 O 0.500 0.963 0.087
O3 O 0.000 0.093 0.784
O4 O 0.500 0.432 0.647
O5 O 0.000 0.295 0.559
O6 O 0.000 0.899 0.506
O7 O 0.000 0.795 0.941
O8 O 0.000 0.805 0.160
O9 O 0.500 0.245 0.925
O10 O 0.500 0.460 0.412
O11 O 0.000 0.403 0.218
O12 O 0.500 0.933 0.855
O13 O 0.500 0.340 0.745
O14 O 0.000 0.907 0.284
O15 O 0.000 0.597 0.718
O16 O 0.000 0.647 0.335
O17 O 0.000 0.101 0.006
O18 O 0.000 0.353 0.835
O19 O 0.500 0.843 0.757
O20 O 0.500 0.540 0.912
O21 O 0.000 0.700 0.839
O22 O 0.000 0.144 0.165
O23 O 0.500 0.743 0.575
O24 O 0.000 0.856 0.665
O25 O 0.000 0.300 0.339
O26 O 0.000 0.195 0.660
O27 O 0.500 0.157 0.257
O28 O 0.500 0.755 0.425
O29 O 0.500 0.660 0.245
O30 O 0.500 0.067 0.355
O31 O 0.500 0.037 0.587
O32 O 0.000 0.598 0.494
O33 O 0.000 0.402 0.994
O34 O 0.500 0.568 0.147
O35 O 0.000 0.205 0.441
O36 O 0.500 0.257 0.075
Li1 Li 0.500 0.435 0.501
Li2 Li 0.500 0.938 0.998
Li3 Li 0.500 0.959 0.198
Li4 Li 0.500 0.457 0.300
Li5 Li 0.500 0.565 0.001
Li6 Li 0.500 0.062 0.498
Li7 Li 0.500 0.543 0.800
Li8 Li 0.500 0.041 0.698
V1 V 0.000 0.108 0.304
V2 V 0.000 0.892 0.804
V3 V 0.500 0.749 0.500
V4 V 0.500 0.251 0.000
Cr1 Cr 0.000 0.391 0.912
Cr2 Cr 0.000 0.888 0.587
Cr3 Cr 0.500 0.271 0.191
Cr4 Cr 0.500 0.775 0.310
Cr5 Cr 0.500 0.225 0.810
Cr6 Cr 0.500 0.729 0.691
Cr7 Cr 0.000 0.609 0.412
Cr8 Cr 0.000 0.112 0.087
Ti1 Ti 0.500 0.253 0.396
Ti2 Ti 0.000 0.607 0.196
Ti3 Ti 0.500 0.747 0.896
Ti4 Ti 0.500 0.759 0.103
Ti5 Ti 0.000 0.393 0.696
Ti6 Ti 0.500 0.241 0.603
```

***

no.,energy of formation from the pure elements (meV per atom)
1,-1348
2,-2556
3,-1183
4,-2660